# 1
A plane-wave DFT calculation with PBE was carried out for crystalline Li2CuSi4O10 at its relaxed geometry.

Unit cell a=6.8424 b=9.5450 c=14.3597 alpha=90.00 beta=90.00 gamma=90.00
Positions (direct):
Li 0.9351 0.1162 0.5296
Li 0.0649 0.6162 0.9704
Li 0.6471 0.0951 0.8289
Li 0.5649 0.8838 0.0296
Li 0.4351 0.3838 0.4704
Li 0.3529 0.5951 0.6711
Li 0.8529 0.9049 0.3289
Li 0.1471 0.4049 0.1711
O 0.9843 0.2943 0.4610
O 0.7837 0.9998 0.0928
O 0.5220 0.6302 0.3394
O 0.3033 0.2295 0.8732
O 0.0317 0.0024 0.4275
O 0.6501 0.5098 0.1855
O 0.6665 0.2603 0.7516
O 0.7163 0.0002 0.5928
O 0.1967 0.7705 0.3732
O 0.1512 0.9850 0.1594
O 0.9683 0.5024 0.0725
O 0.0220 0.8698 0.6606
O 0.7921 0.0868 0.2718
O 0.2837 0.5002 0.9072
O 0.5317 0.4976 0.5725
O 0.3488 0.0150 0.6594
O 0.7079 0.9132 0.7718
O 0.8499 0.4902 0.6855
O 0.8488 0.4850 0.3406
O 0.8033 0.2705 0.1268
O 0.3499 0.0098 0.3145
O 0.9074 0.5651 0.5141
O 0.4074 0.9349 0.4859
O 0.0926 0.0651 0.9859
O 0.0157 0.7943 0.0390
O 0.6967 0.7295 0.6268
O 0.4843 0.2057 0.5390
O 0.6512 0.5150 0.8406
O 0.1665 0.2397 0.2484
O 0.4683 0.9976 0.9275
O 0.2079 0.5868 0.2282
O 0.9780 0.3698 0.8394
O 0.1501 0.9902 0.8145
O 0.5157 0.7057 0.9610
O 0.4780 0.1302 0.1606
O 0.3335 0.7603 0.7484
O 0.2921 0.4132 0.7282
O 0.8335 0.7397 0.2516
O 0.5926 0.4349 0.0141
O 0.2163 0.4998 0.4072
Si 0.9852 0.4589 0.4329
Si 0.7581 0.4329 0.0971
Si 0.2159 0.3753 0.8319
Si 0.7159 0.1247 0.1681
Si 0.7841 0.8753 0.6681
Si 0.7810 0.4029 0.7780
Si 0.2841 0.6247 0.3319
Si 0.0148 0.9589 0.0671
Si 0.2581 0.0671 0.9029
Si 0.7419 0.5671 0.5971
Si 0.2190 0.9029 0.7220
Si 0.2419 0.9329 0.4029
Si 0.5148 0.5411 0.9329
Si 0.7190 0.5971 0.2780
Si 0.2810 0.0971 0.2220
Si 0.4852 0.0411 0.5671
Cu 0.9701 0.1869 0.3469
Cu 0.0299 0.6869 0.1531
Cu 0.5299 0.8131 0.8469
Cu 0.4701 0.3131 0.6531

Output
E above lowest polymorph in kJ/mol of atoms: 1.1
Symmetry: P2_12_12_1

---

# 2
A plane-wave DFT calculation with PBE was carried out for crystalline Li2CuSi4O10 at its relaxed geometry.

Unit cell a=6.8875 b=7.3754 c=9.6237 alpha=100.56 beta=103.01 gamma=116.84
Positions (direct):
O 0.1432 0.4746 0.1483
O 0.0154 0.2028 0.8127
O 0.5694 0.6300 0.1737
O 0.1159 0.3728 0.5873
O 0.7192 0.3703 0.1265
O 0.4678 0.6673 0.4358
O 0.4306 0.3700 0.8263
O 0.8568 0.5254 0.8517
O 0.9846 0.7972 0.1873
O 0.2108 0.9341 0.0031
O 0.8841 0.6272 0.4127
O 0.0697 0.7810 0.6993
O 0.3279 0.2127 0.2581
O 0.4272 0.8982 0.2585
O 0.5728 0.1018 0.7415
O 0.5322 0.3327 0.5642
O 0.7892 0.0659 0.9969
O 0.6721 0.7873 0.7419
O 0.2808 0.6297 0.8735
O 0.9303 0.2190 0.3007
Si 0.7608 0.0358 0.8152
Si 0.4038 0.6669 0.2642
Si 0.1983 0.3874 0.7611
Si 0.0980 0.7219 0.8517
Si 0.9020 0.2781 0.1483
Si 0.8017 0.6126 0.2389
Si 0.2392 0.9642 0.1848
Si 0.5962 0.3331 0.7358
Li 0.6309 0.7413 0.9756
Li 0.7816 0.2987 0.4343
Li 0.3691 0.2587 0.0244
Li 0.2184 0.7013 0.5657
Cu 0.2398 0.2954 0.4301
Cu 0.7602 0.7046 0.5699

Output
E above lowest polymorph in kJ/mol of atoms: 0.7
Symmetry: P-1

---

# 3
A plane-wave DFT calculation with PBE was carried out for crystalline Li2Cu4Si4O13 at its relaxed geometry.

Unit cell a=7.1110 b=7.6479 c=10.0980 alpha=70.60 beta=87.37 gamma=84.76
Positions (direct):
Si 0.2895 0.4045 0.7109
Si 0.7156 0.5886 0.8287
Si 0.9480 0.8997 0.2852
Si 0.6118 0.1168 0.7210
Si 0.3882 0.8832 0.2790
Si 0.7105 0.5955 0.2891
Si 0.0520 0.1003 0.7148
Si 0.2844 0.4114 0.1713
Cu 0.0482 0.2162 0.3612
Cu 0.9518 0.7838 0.6388
Cu 0.5598 0.1926 0.0153
Cu 0.4402 0.8074 0.9847
Cu 0.5879 0.1783 0.3817
Cu 0.0920 0.1763 0.9995
Cu 0.4121 0.8217 0.6183
Cu 0.9080 0.8237 0.0005
O 0.7406 0.3724 0.9318
O 0.7669 0.6151 0.6627
O 0.9096 0.9917 0.1167
O 0.1470 0.2987 0.6449
O 0.8942 0.7046 0.8553
O 0.2462 0.3618 0.8762
O 0.8786 0.0374 0.3732
O 0.0904 0.0083 0.8833
O 0.2595 0.6234 0.6147
O 0.7405 0.3766 0.3853
O 0.1214 0.9626 0.6268
O 0.4363 0.9848 0.3876
O 0.5637 0.0152 0.6124
O 0.5843 0.0191 0.8903
O 0.4995 0.6889 0.8360
O 0.1706 0.8285 0.3135
O 0.2331 0.3849 0.3373
O 0.4958 0.6719 0.3241
O 0.7538 0.6382 0.1238
O 0.5042 0.3281 0.6759
O 0.8294 0.1715 0.6865
O 0.4157 0.9809 0.1097
O 0.5005 0.3111 0.1640
O 0.2594 0.6276 0.0682
O 0.1058 0.2954 0.1447
O 0.8530 0.7013 0.3551
Li 0.2050 0.6140 0.8856
Li 0.2385 0.5661 0.4258
Li 0.7615 0.4339 0.5742
Li 0.7950 0.3860 0.1144

Output
Symmetry: P-1
Raw total energy in eV per atom: -6.47

---

# 4
A plane-wave DFT calculation with PBE was carried out for crystalline Li4Cu2Si3O10 at its relaxed geometry.

Unit cell a=5.3871 b=5.3871 c=16.2475 alpha=82.87 beta=82.87 gamma=61.43
Positions (direct):
O 0.9328 0.8377 0.7050
O 0.7846 0.6071 0.0657
O 0.2216 0.9096 0.0408
O 0.7784 0.0904 0.9592
O 0.6320 0.5676 0.3866
O 0.8021 0.4026 0.6883
O 0.5676 0.6320 0.8866
O 0.9096 0.2216 0.5408
O 0.5974 0.1979 0.8117
O 0.4324 0.3680 0.1134
O 0.8377 0.9328 0.2050
O 0.0904 0.7784 0.4592
O 0.1979 0.5974 0.3117
O 0.2154 0.3929 0.9343
O 0.4026 0.8021 0.1883
O 0.1623 0.0672 0.7950
O 0.0672 0.1623 0.2950
O 0.3680 0.4324 0.6134
O 0.3929 0.2154 0.4343
O 0.6071 0.7846 0.5657
Si 0.8910 0.1090 0.7500
Si 0.5291 0.3439 0.9031
Si 0.3439 0.5291 0.4031
Si 0.6561 0.4709 0.5969
Si 0.1090 0.8910 0.2500
Si 0.4709 0.6561 0.0969
Li 0.4159 0.2125 0.2344
Li 0.1647 0.3176 0.0531
Li 0.8353 0.6824 0.9469
Li 0.5841 0.7875 0.7656
Li 0.3176 0.1647 0.5531
Li 0.2125 0.4159 0.7344
Li 0.6824 0.8353 0.4469
Li 0.7875 0.5841 0.2656
Cu 0.9798 0.2006 0.4180
Cu 0.2006 0.9798 0.9180
Cu 0.0202 0.7994 0.5820
Cu 0.7994 0.0202 0.0820

Output
Symmetry: C2/c
Raw total energy in eV per atom: -6.40